# 1
MgPaPt2 after structural relaxation. Source: Materials Project, functional meta-GGA r2SCAN.

The structure in POSCAR format:
```
MgPaPt2
1.0
6.773 0.000 0.000
0.000 6.773 0.000
0.000 0.000 6.773
Mg Pa Pt
4 4 8
Direct
0.000 0.000 0.000
0.000 0.500 0.500
0.500 0.000 0.500
0.500 0.500 0.000
0.000 0.000 0.500
0.000 0.500 0.000
0.500 0.000 0.000
0.500 0.500 0.500
0.250 0.250 0.250
0.250 0.250 0.750
0.250 0.750 0.250
0.250 0.750 0.750
0.750 0.250 0.250
0.750 0.250 0.750
0.750 0.750 0.250
0.750 0.750 0.750
```

Summary:
The total energy is -187.72 eV/f.u.

---

# 2
GeS2F12 after structural relaxation. Source: Materials Project, functional meta-GGA r2SCAN.

The structure in POSCAR format:
```
GeS2F12
1.0
7.445 0.000 0.000
0.000 9.491 0.000
0.000 0.000 6.035
Ge S F
2 4 24
Direct
0.000 0.000 0.000
0.500 0.500 0.500
0.069 0.243 0.500
0.431 0.743 0.000
0.569 0.257 0.000
0.931 0.757 0.500
0.028 0.348 0.311
0.028 0.348 0.689
0.119 0.825 0.500
0.134 0.085 0.211
0.134 0.085 0.789
0.150 0.851 0.000
0.350 0.351 0.500
0.366 0.585 0.289
0.366 0.585 0.711
0.381 0.325 0.000
0.472 0.848 0.189
0.472 0.848 0.811
0.528 0.152 0.189
0.528 0.152 0.811
0.619 0.675 0.000
0.634 0.415 0.289
0.634 0.415 0.711
0.650 0.649 0.500
0.850 0.149 0.000
0.866 0.915 0.211
0.866 0.915 0.789
0.881 0.175 0.500
0.972 0.652 0.311
0.972 0.652 0.689
```

Summary:
The total energy is -97.69 eV/f.u.

---

# 3
LiGdAu2 after structural relaxation. Source: Materials Project, functional meta-GGA r2SCAN.

The structure in POSCAR format:
```
LiGdAu2
1.0
6.889 0.000 0.000
0.000 6.889 0.000
0.000 0.000 6.889
Li Gd Au
4 4 8
Direct
0.000 0.000 0.000
0.000 0.500 0.500
0.500 0.000 0.500
0.500 0.500 0.000
0.000 0.000 0.500
0.000 0.500 0.000
0.500 0.000 0.000
0.500 0.500 0.500
0.250 0.250 0.250
0.250 0.250 0.750
0.250 0.750 0.250
0.250 0.750 0.750
0.750 0.250 0.250
0.750 0.250 0.750
0.750 0.750 0.250
0.750 0.750 0.750
```

Summary:
The total energy is -149.80 eV/f.u.

---

# 4
HgCl after structural relaxation. Source: Materials Project, functional meta-GGA r2SCAN.

The structure in POSCAR format:
```
HgCl
1.0
4.529 0.000 0.000
0.000 4.529 0.000
0.000 0.000 11.044
Hg Cl
4 4
Direct
0.000 0.000 0.117
0.000 0.000 0.883
0.500 0.500 0.383
0.500 0.500 0.617
0.000 0.000 0.338
0.000 0.000 0.662
0.500 0.500 0.162
0.500 0.500 0.838
```

Summary:
The total energy is -56.76 eV/f.u.

---

no.,spin magnetization (μB per cell)
1,0.0
2,0.0
3,29.7
4,0.0